Mg2Cr3CoS8, relaxed, DFT PBE; energy of formation = -1.0930 eV/atom; symmetry = R-3m (166); magnetic moment = 0.64 μB per atom; volume = 18.5 Å³ per atom
1.0
-1.9051 -0.9874 6.8221
-6.1266 -3.3507 1.5437
0.1398 -6.5665 2.8283
Mg Cr Co S
2 3 1 8
Direct
0.8750 0.8750 0.8750
0.1251 0.1251 0.1251
0.5000 0.5000 0.0000
0.0000 0.4999 0.5000
0.5000 0.0000 0.5000
0.5000 0.5000 0.5000
0.7370 0.7370 0.7370
0.2714 0.2713 0.7048
0.2714 0.7048 0.2713
0.7048 0.2714 0.2713
0.7286 0.2952 0.7286
0.2952 0.7286 0.7287
0.2630 0.2630 0.2630
0.7287 0.7286 0.2952